Computed, not measured: a relaxed structure of Mo2P3O11 at the PBE with a Hubbard U level of DFT. Values from VASP.

Structure (Quantum ESPRESSO input):
```
&SYSTEM
  ibrav = 0, nat = 32, ntyp = 3
/
ATOMIC_SPECIES
Mo 95.94 Mo.upf
P 30.97 P.upf
O 16.00 O.upf
CELL_PARAMETERS angstrom
4.459 6.071 0.000
-4.459 6.071 0.000
0.000 3.777 8.301
ATOMIC_POSITIONS crystal
Mo 0.360 0.883 0.707
Mo 0.631 0.115 0.794
Mo 0.117 0.640 0.293
Mo 0.885 0.369 0.206
P 0.543 0.672 0.034
P 0.328 0.457 0.966
P 0.671 0.543 0.540
P 0.457 0.329 0.460
P 0.038 0.962 0.500
P 0.961 0.039 0.000
O 0.050 0.766 0.466
O 0.523 0.841 0.878
O 0.159 0.477 0.122
O 0.617 0.284 0.316
O 0.282 0.618 0.820
O 0.842 0.537 0.385
O 0.134 0.007 0.851
O 0.022 0.124 0.350
O 0.608 0.744 0.569
O 0.382 0.718 0.180
O 0.716 0.383 0.684
O 0.256 0.392 0.431
O 0.234 0.950 0.534
O 0.960 0.228 0.028
O 0.772 0.040 0.972
O 0.492 0.508 0.500
O 0.743 0.622 0.056
O 0.993 0.866 0.149
O 0.463 0.158 0.615
O 0.378 0.257 0.944
O 0.876 0.978 0.650
O 0.510 0.490 0.000
```

## Properties
Uncorrected energy, Ha/atom: -0.270
SG: No. 5
Total moment, μB per cell: 10.000
Relative energy among the computed polymorphs, meV/atom: 0
Energy of formation, eV/atom: -2.459
Volume, Å³/cell: 449
Theoretical density, Mg/m³: 3.4